Here is a relaxed Mg2BiPO6 crystal from Materials Project. Energies are from PBE.

The structure in extended XYZ format:
```
20
Lattice="3.951 -6.052 0.000 3.951 6.052 0.000 0.000 0.000 5.337" Properties=species:S:1:pos:R:3 pbc="T T T"
Mg 1.550 1.178 1.334
Mg 1.550 -1.178 4.002
Mg 6.351 1.178 1.334
Mg 6.351 -1.178 4.002
Bi 3.951 1.165 4.002
Bi 3.951 -1.165 1.334
P 3.951 3.657 1.334
P 3.951 -3.657 4.002
O 2.674 2.803 1.334
O 3.951 4.551 0.041
O 3.951 4.551 2.627
O 2.589 0.000 0.000
O 2.589 0.000 2.668
O 5.228 2.803 1.334
O 2.674 -2.803 4.002
O 5.312 0.000 0.000
O 5.312 0.000 2.668
O 3.951 -4.551 2.709
O 3.951 -4.551 5.295
O 5.228 -2.803 4.002
```

final energy: -6.52 eV/atom
formation enthalpy at 0 K: -2716 meV/atom